This record from the Materials Project describes an optimized crystal structure of Sm3InC. The functional is PBE.

The structure belongs to space group Pm-3m (No. 221); the cell edges are 5.7107, 5.7107 and 5.7107 Å and the angles 90.00°, 90.00° and 90.00°. The inequivalent atoms are Sm at (0.0000, 0.0000, 0.5000), In at (0.0000, 0.0000, 0.0000) and C at (0.5000, 0.5000, 0.5000).

For the formation energy, the calculation gives 1.581 eV/atom.

This record from the Materials Project describes an optimized crystal structure of Ti3InC. The functional is PBE.

The structure belongs to space group Pm-3m (No. 221); the cell edges are 4.2482, 4.2482 and 4.2482 Å and the angles 90.00°, 90.00° and 90.00°. The inequivalent atoms are Ti at (0.0000, 0.0000, 0.5000), In at (0.5000, 0.5000, 0.5000) and C at (0.0000, 0.0000, 0.0000).

For the formation energy, the calculation gives -0.544 eV/atom.